VASP calculation (PBE+U) on a relaxed Li9Mn2Co5O16 crystal.

Properties
- Energy of formation: -176.5 kJ/mol of atoms
- Uncorrected energy: -372.45 eV/cell
- E (MP2020): -6.523 eV per atom
- Energy relative to the lowest polymorph listed for this composition: 35 meV per atom
- Total magnetic moment: 16.0 Bohr magnetons per cell

```
data_Li9Mn2Co5O16
_symmetry_space_group_name_H-M 'C 1 m 1'
_symmetry_Int_Tables_number 8
_cell_length_a 11.7367
_cell_length_b 5.7989
_cell_length_c 8.4051
_cell_angle_alpha 90.00
_cell_angle_beta 90.68
_cell_angle_gamma 90.00
loop_
_symmetry_equiv_pos_as_xyz
'x,y,z'
'x,-y,z'
'x+1/2,y+1/2,z'
'x+1/2,-y+1/2,z'
loop_
_atom_site_label
_atom_site_type_symbol
_atom_site_fract_x
_atom_site_fract_y
_atom_site_fract_z
_atom_site_occupancy
Li1 Li 0.0000 0.0000 0.0000 1
Li2 Li 0.9998 0.0000 0.4892 1
Li3 Li 0.0019 0.5000 0.4870 1
Li4 Li 0.1235 0.2462 0.7525 1
Li5 Li 0.2482 0.0000 0.9989 1
Li6 Li 0.2500 0.5000 0.0019 1
Li7 Li 0.3773 0.2530 0.2382 1
Mn1 Mn 0.3767 0.2508 0.7476 1
Co1 Co 0.0007 0.5000 0.9974 1
Co2 Co 0.1197 0.2488 0.2339 1
Co3 Co 0.2464 0.5000 0.4859 1
Co4 Co 0.2478 0.0000 0.4856 1
O1 O 0.0016 0.5000 0.2490 1
O2 O 0.0058 0.0000 0.2507 1
O3 O 0.1184 0.2652 0.0045 1
O4 O 0.1329 0.2491 0.4921 1
O5 O 0.2449 0.0000 0.2485 1
O6 O 0.2463 0.5000 0.2523 1
O7 O 0.2622 0.0000 0.7428 1
O8 O 0.2643 0.5000 0.7498 1
O9 O 0.3660 0.2505 0.5133 1
O10 O 0.3841 0.2350 0.9742 1
O11 O 0.4864 0.5000 0.7407 1
O12 O 0.4875 0.0000 0.7356 1
```

=====

VASP calculation (PBE+U) on a relaxed La2Fe2O5 crystal.

Properties
- Energy of formation: -264.3 kJ/mol of atoms
- Uncorrected energy: -136.51 eV/cell
- E (MP2020): -8.467 eV per atom
- Energy relative to the lowest polymorph listed for this composition: 0 meV per atom
- Total magnetic moment: 0.0 Bohr magnetons per cell

```
data_La2Fe2O5
_symmetry_space_group_name_H-M 'P 1'
_symmetry_Int_Tables_number 1
_cell_length_a 5.5611
_cell_length_b 5.9068
_cell_length_c 8.8678
_cell_angle_alpha 109.18
_cell_angle_beta 107.93
_cell_angle_gamma 90.50
loop_
_symmetry_equiv_pos_as_xyz
'x,y,z'
loop_
_atom_site_label
_atom_site_type_symbol
_atom_site_fract_x
_atom_site_fract_y
_atom_site_fract_z
_atom_site_occupancy
La1 La 0.0000 0.0000 0.0000 1
La2 La 0.2221 0.2546 0.4464 1
La3 La 0.4978 0.5294 0.9997 1
La4 La 0.7253 0.7244 0.4473 1
Fe1 Fe 0.0976 0.6268 0.2238 1
Fe2 Fe 0.3798 0.9185 0.7231 1
Fe3 Fe 0.5969 0.1265 0.2234 1
Fe4 Fe 0.8790 0.3360 0.7234 1
O1 O 0.1924 0.6751 0.5035 1
O2 O 0.2596 0.2614 0.7230 1
O3 O 0.3343 0.3591 0.1777 1
O4 O 0.3773 0.8899 0.2691 1
O5 O 0.4131 0.8938 0.9429 1
O6 O 0.6921 0.3590 0.5038 1
O7 O 0.7619 0.9907 0.7238 1
O8 O 0.8338 0.3490 0.1782 1
O9 O 0.8775 0.9090 0.2691 1
O10 O 0.9130 0.5785 0.9431 1
```

=====

VASP calculation (PBE+U) on a relaxed NaTl2MoF6 crystal.

Properties
- Energy of formation: -247.0 kJ/mol of atoms
- Uncorrected energy: -192.02 eV/cell
- E (MP2020): -5.398 eV per atom
- Total magnetic moment: 12.0 Bohr magnetons per cell

```
data_NaTl2MoF6
_symmetry_space_group_name_H-M 'F m -3 m'
_symmetry_Int_Tables_number 225
_symmetry_space_group_name_Hall '-F 4 2 3'
_cell_length_a 8.8245
_cell_length_b 8.8245
_cell_length_c 8.8245
_cell_angle_alpha 90.00
_cell_angle_beta 90.00
_cell_angle_gamma 90.00
loop_
_atom_site_label
_atom_site_type_symbol
_atom_site_fract_x
_atom_site_fract_y
_atom_site_fract_z
_atom_site_occupancy
Na1 Na 0.0000 0.0000 0.0000 1
Tl1 Tl 0.2500 0.2500 0.2500 1
Mo1 Mo 0.0000 0.0000 0.5000 1
F1 F 0.0000 0.0000 0.2614 1
```

=====

VASP calculation (PBE+U) on a relaxed Li2CrNiO4 crystal.

Properties
- Energy of formation: -189.3 kJ/mol of atoms
- Uncorrected energy: -47.45 eV/cell
- E (MP2020): -6.842 eV per atom
- Total magnetic moment: 4.0 Bohr magnetons per cell

```
data_Li2CrNiO4
_symmetry_space_group_name_H-M 'P 1 2/m 1'
_symmetry_Int_Tables_number 10
_cell_length_a 5.0934
_cell_length_b 2.9394
_cell_length_c 5.0998
_cell_angle_alpha 90.00
_cell_angle_beta 109.36
_cell_angle_gamma 90.00
loop_
_symmetry_equiv_pos_as_xyz
'x,y,z'
'-x,-y,-z'
'-x,y,-z'
'x,-y,z'
loop_
_atom_site_label
_atom_site_type_symbol
_atom_site_fract_x
_atom_site_fract_y
_atom_site_fract_z
_atom_site_occupancy
Li1 Li 0.0000 0.0000 0.0000 1
Li2 Li 0.0000 0.5000 0.5000 1
Cr1 Cr 0.5000 0.0000 0.5000 1
Ni1 Ni 0.5000 0.5000 0.0000 1
O1 O 0.2674 0.5000 0.2693 1
O2 O 0.2801 0.0000 0.7518 1
```

=====

VASP calculation (PBE+U) on a relaxed Li3VB5O10 crystal.

Properties
- Energy of formation: -257.1 kJ/mol of atoms
- Uncorrected energy: -279.50 eV/cell
- E (MP2020): -7.806 eV per atom
- Total magnetic moment: 6.0 Bohr magnetons per cell

```
data_Li3VB5O10
_symmetry_space_group_name_H-M 'P -1'
_symmetry_Int_Tables_number 2
_cell_length_a 6.9606
_cell_length_b 7.1966
_cell_length_c 9.4007
_cell_angle_alpha 81.39
_cell_angle_beta 69.77
_cell_angle_gamma 61.96
loop_
_symmetry_equiv_pos_as_xyz
'x,y,z'
'-x,-y,-z'
loop_
_atom_site_label
_atom_site_type_symbol
_atom_site_fract_x
_atom_site_fract_y
_atom_site_fract_z
_atom_site_occupancy
Li1 Li 0.0232 0.1850 0.4617 1
Li2 Li 0.1891 0.9950 0.8400 1
Li3 Li 0.2291 0.5042 0.2434 1
V1 V 0.2242 0.5063 0.8756 1
B1 B 0.2233 0.1648 0.1318 1
B2 B 0.2568 0.2816 0.6005 1
B3 B 0.2996 0.8087 0.0740 1
B4 B 0.3646 0.7521 0.5671 1
B5 B 0.4067 0.8619 0.2926 1
O1 O 0.0500 0.3021 0.6189 1
O2 O 0.1421 0.3714 0.0997 1
O3 O 0.2227 0.7408 0.7030 1
O4 O 0.2341 0.0236 0.0384 1
O5 O 0.2504 0.7053 0.9992 1
O6 O 0.2718 0.8452 0.4486 1
O7 O 0.3028 0.0863 0.2548 1
O8 O 0.3461 0.2164 0.7250 1
O9 O 0.3998 0.3164 0.4612 1
O10 O 0.4030 0.7239 0.1883 1
```

=====

VASP calculation (PBE+U) on a relaxed LiV2P3O12 crystal.

Properties
- Energy of formation: -248.2 kJ/mol of atoms
- Uncorrected energy: -521.37 eV/cell
- E (MP2020): -7.888 eV per atom
- Energy relative to the lowest polymorph listed for this composition: 83 meV per atom
- Total magnetic moment: 8.0 Bohr magnetons per cell

```
data_LiV2P3O12
_symmetry_space_group_name_H-M 'C 1 2/c 1'
_symmetry_Int_Tables_number 15
_cell_length_a 12.0211
_cell_length_b 12.4878
_cell_length_c 6.3328
_cell_angle_alpha 90.00
_cell_angle_beta 113.76
_cell_angle_gamma 90.00
loop_
_symmetry_equiv_pos_as_xyz
'x,y,z'
'-x,-y,-z'
'-x,y,-z+1/2'
'x,-y,z+1/2'
'x+1/2,y+1/2,z'
'-x+1/2,-y+1/2,-z'
'-x+1/2,y+1/2,-z+1/2'
'x+1/2,-y+1/2,z+1/2'
loop_
_atom_site_label
_atom_site_type_symbol
_atom_site_fract_x
_atom_site_fract_y
_atom_site_fract_z
_atom_site_occupancy
Li1 Li 0.0000 0.0000 0.0000 1
V1 V 0.2173 0.3420 0.1360 1
P1 P 0.0000 0.2207 0.7500 1
P2 P 0.2404 0.0961 0.3497 1
O1 O 0.0580 0.2933 0.9672 1
O2 O 0.1012 0.1486 0.7324 1
O3 O 0.1081 0.0741 0.2694 1
O4 O 0.1852 0.4896 0.1124 1
O5 O 0.2051 0.3423 0.4156 1
O6 O 0.2323 0.3279 0.8244 1
```

=====

VASP calculation (PBE+U) on a relaxed ZnFeSiO5 crystal.

Properties
- Energy of formation: -201.9 kJ/mol of atoms
- Uncorrected energy: -101.89 eV/cell
- E (MP2020): -7.079 eV per atom
- Total magnetic moment: 8.0 Bohr magnetons per cell

```
data_ZnFeSiO5
_symmetry_space_group_name_H-M 'P 1'
_symmetry_Int_Tables_number 1
_cell_length_a 5.4710
_cell_length_b 5.4823
_cell_length_c 7.1249
_cell_angle_alpha 108.58
_cell_angle_beta 108.56
_cell_angle_gamma 95.92
loop_
_symmetry_equiv_pos_as_xyz
'x,y,z'
loop_
_atom_site_label
_atom_site_type_symbol
_atom_site_fract_x
_atom_site_fract_y
_atom_site_fract_z
_atom_site_occupancy
Zn1 Zn 0.0000 0.0000 0.0000 1
Zn2 Zn 0.3252 0.5803 0.4992 1
Fe1 Fe 0.6629 0.2928 0.7553 1
Fe2 Fe 0.6649 0.2911 0.2552 1
Si1 Si 0.0293 0.9545 0.5110 1
Si2 Si 0.2992 0.6304 0.0003 1
O1 O 0.3551 0.9807 0.6017 1
O2 O 0.3715 0.9585 0.1116 1
O3 O 0.3864 0.4892 0.1755 1
O4 O 0.4123 0.5271 0.8092 1
O5 O 0.5892 0.3724 0.5057 1
O6 O 0.7382 0.2104 0.0040 1
O7 O 0.9151 0.0562 0.7018 1
O8 O 0.9440 0.0986 0.3383 1
O9 O 0.9557 0.6267 0.3975 1
O10 O 0.9729 0.6028 0.9087 1
```

=====

VASP calculation (PBE+U) on a relaxed LiCoPHO5 crystal.

Properties
- Energy of formation: -199.5 kJ/mol of atoms
- Uncorrected energy: -112.20 eV/cell
- E (MP2020): -6.797 eV per atom
- Total magnetic moment: 0.0 Bohr magnetons per cell

```
data_LiCoPHO5
_symmetry_space_group_name_H-M 'P -1'
_symmetry_Int_Tables_number 2
_cell_length_a 5.0788
_cell_length_b 5.2861
_cell_length_c 7.0412
_cell_angle_alpha 106.93
_cell_angle_beta 108.79
_cell_angle_gamma 98.37
loop_
_symmetry_equiv_pos_as_xyz
'x,y,z'
'-x,-y,-z'
loop_
_atom_site_label
_atom_site_type_symbol
_atom_site_fract_x
_atom_site_fract_y
_atom_site_fract_z
_atom_site_occupancy
Li1 Li 0.2442 0.3943 0.3222 1
Co1 Co 0.5000 0.0000 0.0000 1
Co2 Co 0.5000 0.0000 0.5000 1
P1 P 0.1781 0.3524 0.7352 1
H1 H 0.1539 0.9300 0.1544 1
O1 O 0.1368 0.7571 0.4334 1
O2 O 0.1976 0.6602 0.8429 1
O3 O 0.2238 0.1979 0.8937 1
O4 O 0.3550 0.0484 0.2270 1
O5 O 0.3909 0.3301 0.6165 1
```